(1)
VASP calculation (PBE+U) on a relaxed structure of Ca3Nd4Nb6Fe2O28.

Output
Calculated formation energy, eV/atom: -3.07
SG: P-1 (2)

Geometry as POSCAR:
```
Ca3Nd4Nb6Fe2O28
1.0
-6.741 -2.931 0.402
-2.014 -14.495 -3.117
-2.680 -11.982 3.958
O Nd Nb Fe Ca
28 4 6 2 3
Direct
0.075 0.684 0.683 O
0.326 0.698 0.925 O
0.678 0.807 0.067 O
0.070 0.798 0.082 O
0.921 0.793 0.331 O
0.321 0.805 0.323 O
0.593 0.999 0.634 O
0.318 0.004 0.927 O
0.324 0.505 0.922 O
0.616 0.502 0.627 O
0.069 0.500 0.672 O
0.925 0.316 0.317 O
0.931 0.500 0.328 O
0.926 0.681 0.952 O
0.670 0.701 0.676 O
0.081 0.001 0.688 O
0.682 0.996 0.073 O
0.407 0.001 0.366 O
0.079 0.207 0.669 O
0.322 0.193 0.933 O
0.074 0.319 0.048 O
0.679 0.195 0.677 O
0.384 0.498 0.373 O
0.930 0.202 0.918 O
0.919 0.999 0.312 O
0.676 0.495 0.078 O
0.674 0.302 0.075 O
0.330 0.299 0.324 O
0.500 0.000 0.500 Nd
0.000 0.500 0.500 Nd
0.476 0.748 0.506 Nd
0.524 0.252 0.494 Nd
0.983 0.750 0.501 Nb
0.000 0.500 0.000 Nb
0.017 0.250 0.499 Nb
0.500 0.000 0.000 Nb
0.988 0.250 0.001 Nb
0.012 0.750 0.999 Nb
0.500 0.500 0.000 Fe
0.000 0.000 0.000 Fe
0.523 0.746 0.000 Ca
0.477 0.254 0.000 Ca
0.500 0.500 0.500 Ca
```

---

(2)
VASP calculation (PBE+U) on a relaxed structure of Ca2NbFeO6.

Output
Calculated formation energy, eV/atom: -2.94

Geometry as POSCAR:
```
Ca2NbFeO6
1.0
-2.153 -0.408 -5.016
5.552 -7.706 -1.727
-4.813 -7.908 2.737
O Ca Fe Nb
24 8 4 4
Direct
0.092 0.360 0.388 O
0.202 0.579 0.871 O
0.298 0.629 0.421 O
0.592 0.388 0.860 O
0.705 0.672 0.875 O
0.205 0.375 0.672 O
0.798 0.921 0.629 O
0.202 0.079 0.371 O
0.795 0.625 0.328 O
0.702 0.371 0.579 O
0.798 0.421 0.129 O
0.408 0.112 0.640 O
0.295 0.328 0.125 O
0.295 0.828 0.625 O
0.205 0.875 0.172 O
0.092 0.860 0.888 O
0.408 0.612 0.140 O
0.705 0.172 0.375 O
0.908 0.140 0.112 O
0.795 0.125 0.828 O
0.592 0.888 0.360 O
0.908 0.640 0.612 O
0.702 0.871 0.079 O
0.298 0.129 0.921 O
0.487 0.099 0.152 Ca
0.013 0.348 0.901 Ca
0.013 0.848 0.401 Ca
0.987 0.152 0.599 Ca
0.513 0.401 0.348 Ca
0.987 0.652 0.099 Ca
0.487 0.599 0.652 Ca
0.513 0.901 0.848 Ca
0.000 0.000 0.000 Fe
0.000 0.500 0.500 Fe
0.500 0.000 0.500 Fe
0.500 0.500 0.000 Fe
0.000 0.750 0.750 Nb
0.500 0.250 0.750 Nb
0.500 0.750 0.250 Nb
0.000 0.250 0.250 Nb
```

---

(3)
VASP calculation (PBE+U) on a relaxed structure of CaNbFeSnO6.

Output
Calculated formation energy, eV/atom: -2.40
SG: F-43m (216)

Geometry as POSCAR:
```
CaNbFeSnO6
1.0
-2.185 2.550 -4.557
-3.801 4.148 0.627
1.419 5.346 -1.205
O Ca Sn Fe Nb
6 1 1 1 1
Direct
0.250 0.750 0.750 O
0.750 0.250 0.750 O
0.750 0.250 0.250 O
0.750 0.750 0.250 O
0.250 0.750 0.250 O
0.250 0.250 0.750 O
0.750 0.750 0.750 Ca
0.250 0.250 0.250 Sn
0.000 0.000 0.000 Fe
0.500 0.500 0.500 Nb
```

---

(4)
VASP calculation (PBE+U) on a relaxed structure of SrCaNbFeO6.

Output
Calculated formation energy, eV/atom: -2.88
SG: F-43m (216)

Geometry as POSCAR:
```
SrCaNbFeO6
1.0
-3.752 3.687 -2.089
-0.638 0.522 -5.600
-4.721 -1.874 -2.497
Nb Fe O Sr Ca
1 1 6 1 1
Direct
0.500 0.500 0.500 Nb
0.000 0.000 0.000 Fe
0.750 0.250 0.750 O
0.750 0.250 0.250 O
0.250 0.750 0.250 O
0.250 0.750 0.750 O
0.750 0.750 0.250 O
0.250 0.250 0.750 O
0.750 0.750 0.750 Sr
0.250 0.250 0.250 Ca
```

---

(5)
VASP calculation (PBE+U) on a relaxed structure of CaNdFeO4.

Output
Calculated formation energy, eV/atom: -2.88
SG: Cmc2_1 (36)

Geometry as POSCAR:
```
CaNdFeO4
1.0
2.731 -6.000 0.000
2.731 6.000 0.000
0.000 0.000 5.669
Ca O Fe Nd
2 8 2 2
Direct
0.604 0.396 0.520 Ca
0.396 0.604 0.020 Ca
0.075 0.925 0.570 O
0.520 0.977 0.751 O
0.580 0.420 0.931 O
0.420 0.580 0.431 O
0.023 0.480 0.751 O
0.977 0.520 0.251 O
0.925 0.075 0.070 O
0.480 0.023 0.251 O
0.253 0.747 0.497 Fe
0.747 0.253 0.997 Fe
0.111 0.889 0.981 Nd
0.889 0.111 0.481 Nd
```

---

(6)
VASP calculation (PBE+U) on a relaxed structure of CaFeNiP2O9.

Output
Calculated formation energy, eV/atom: -2.43
SG: Pnma (62)

Geometry as POSCAR:
```
CaFeNiP2O9
1.0
6.455 0.000 0.000
0.000 7.440 0.000
0.000 0.000 14.278
P O Ca Ni Fe
8 36 4 4 4
Direct
0.250 0.888 0.309 P
0.750 0.112 0.691 P
0.750 0.646 0.564 P
0.250 0.612 0.809 P
0.750 0.854 0.064 P
0.750 0.388 0.191 P
0.250 0.146 0.936 P
0.250 0.354 0.436 P
0.250 0.871 0.554 O
0.939 0.866 0.132 O
0.561 0.866 0.132 O
0.448 0.895 0.369 O
0.750 0.961 0.768 O
0.250 0.499 0.511 O
0.561 0.634 0.632 O
0.250 0.787 0.747 O
0.750 0.213 0.253 O
0.061 0.134 0.868 O
0.052 0.895 0.369 O
0.250 0.629 0.054 O
0.448 0.605 0.869 O
0.552 0.105 0.631 O
0.750 0.833 0.515 O
0.750 0.667 0.015 O
0.948 0.105 0.631 O
0.750 0.129 0.446 O
0.061 0.366 0.368 O
0.439 0.134 0.868 O
0.439 0.366 0.368 O
0.250 0.039 0.232 O
0.939 0.634 0.632 O
0.948 0.395 0.131 O
0.750 0.999 0.989 O
0.750 0.501 0.489 O
0.750 0.371 0.946 O
0.250 0.713 0.247 O
0.052 0.605 0.869 O
0.750 0.539 0.268 O
0.250 0.333 0.985 O
0.750 0.287 0.753 O
0.552 0.395 0.131 O
0.250 0.167 0.485 O
0.250 0.461 0.732 O
0.250 0.001 0.011 O
0.250 0.383 0.220 Ca
0.250 0.117 0.720 Ca
0.750 0.617 0.780 Ca
0.750 0.883 0.280 Ca
0.500 0.000 0.500 Ni
0.500 0.500 0.000 Ni
0.000 0.500 0.000 Ni
0.000 0.000 0.500 Ni
0.250 0.651 0.619 Fe
0.750 0.349 0.381 Fe
0.750 0.151 0.881 Fe
0.250 0.849 0.119 Fe
```

---

(7)
VASP calculation (PBE+U) on a relaxed structure of CaFe2O4.

Output
Calculated formation energy, eV/atom: -2.03
Energy above the lowest structure with this stoichiometry, meV per atom: 148
SG: C2/m (12)

Geometry as POSCAR:
```
CaFe2O4
1.0
1.559 6.991 0.000
-1.559 6.991 0.000
0.000 5.441 7.710
O Fe Ca
8 4 2
Direct
0.544 0.544 0.693 O
0.134 0.134 0.314 O
0.456 0.456 0.307 O
0.843 0.843 0.992 O
0.866 0.866 0.686 O
0.157 0.157 0.008 O
0.761 0.761 0.381 O
0.239 0.239 0.619 O
0.370 0.370 0.818 Fe
0.137 0.137 0.531 Fe
0.630 0.630 0.182 Fe
0.863 0.863 0.469 Fe
0.655 0.655 0.829 Ca
0.345 0.345 0.171 Ca
```

---

(8)
VASP calculation (PBE+U) on a relaxed structure of Ca2Fe3O8.

Output
Calculated formation energy, eV/atom: -1.91
Energy above the lowest structure with this stoichiometry, meV per atom: 110
SG: P6_3mc (186)

Geometry as POSCAR:
```
Ca2Fe3O8
1.0
3.028 -5.245 0.000
3.028 5.245 0.000
0.000 0.000 10.580
O Fe Ca
16 6 4
Direct
0.476 0.524 0.347 O
0.154 0.846 0.656 O
0.524 0.476 0.847 O
0.667 0.333 0.641 O
0.846 0.154 0.156 O
0.476 0.953 0.347 O
0.333 0.667 0.141 O
0.953 0.476 0.847 O
0.154 0.309 0.656 O
0.047 0.524 0.347 O
0.691 0.846 0.656 O
0.846 0.691 0.156 O
0.000 0.000 0.351 O
0.309 0.154 0.156 O
0.524 0.047 0.847 O
0.000 0.000 0.851 O
0.164 0.328 0.246 Fe
0.328 0.164 0.746 Fe
0.672 0.836 0.246 Fe
0.164 0.836 0.246 Fe
0.836 0.672 0.746 Fe
0.836 0.164 0.746 Fe
0.667 0.333 0.430 Ca
0.333 0.667 0.930 Ca
0.667 0.333 0.025 Ca
0.333 0.667 0.525 Ca
```

---

(9)
VASP calculation (PBE+U) on a relaxed structure of CaFe3O5.

Output
Calculated formation energy, eV/atom: -2.01
SG: Cmcm (63)

Geometry as POSCAR:
```
CaFe3O5
1.0
3.053 0.000 0.000
-1.527 5.146 0.000
0.000 0.000 12.746
O Fe Ca
10 6 2
Direct
0.099 0.199 0.137 O
0.189 0.378 0.750 O
0.099 0.199 0.363 O
0.651 0.302 0.949 O
0.349 0.698 0.449 O
0.811 0.622 0.250 O
0.901 0.801 0.637 O
0.349 0.698 0.051 O
0.901 0.801 0.863 O
0.651 0.302 0.551 O
0.732 0.464 0.391 Fe
0.000 0.000 0.500 Fe
0.000 0.000 0.000 Fe
0.268 0.536 0.609 Fe
0.268 0.536 0.891 Fe
0.732 0.464 0.109 Fe
0.479 0.957 0.250 Ca
0.521 0.043 0.750 Ca
```

---

(10)
VASP calculation (PBE+U) on a relaxed structure of CaFe2O4.

Output
Calculated formation energy, eV/atom: -2.07
Energy above the lowest structure with this stoichiometry, meV per atom: 103
SG: Cm (8)

Geometry as POSCAR:
```
CaFe2O4
1.0
3.128 5.503 0.000
-3.128 5.503 0.000
0.000 3.919 20.342
O Ca Fe
32 8 16
Direct
0.425 0.425 0.684 O
0.954 0.446 0.190 O
0.176 0.176 0.940 O
0.534 0.063 0.819 O
0.807 0.290 0.566 O
0.189 0.720 0.429 O
0.322 0.322 0.065 O
0.923 0.923 0.177 O
0.444 0.963 0.683 O
0.811 0.260 0.064 O
0.705 0.194 0.941 O
0.720 0.189 0.429 O
0.675 0.675 0.920 O
0.554 0.554 0.819 O
0.963 0.444 0.683 O
0.825 0.825 0.565 O
0.313 0.313 0.568 O
0.698 0.698 0.427 O
0.194 0.705 0.941 O
0.086 0.086 0.316 O
0.260 0.811 0.064 O
0.510 0.069 0.312 O
0.069 0.510 0.312 O
0.433 0.433 0.186 O
0.942 0.942 0.682 O
0.575 0.575 0.315 O
0.075 0.075 0.816 O
0.825 0.825 0.067 O
0.290 0.807 0.566 O
0.177 0.177 0.438 O
0.446 0.954 0.190 O
0.063 0.534 0.819 O
0.125 0.125 0.126 Ca
0.505 0.505 0.497 Ca
0.751 0.751 0.751 Ca
0.375 0.375 0.375 Ca
0.625 0.625 0.625 Ca
0.877 0.877 0.875 Ca
0.903 0.903 0.285 Ca
0.647 0.647 0.028 Ca
0.251 0.251 0.252 Fe
0.995 0.995 0.005 Fe
0.397 0.397 0.783 Fe
0.148 0.148 0.535 Fe
0.634 0.117 0.125 Fe
0.104 0.104 0.716 Fe
0.373 0.889 0.373 Fe
0.855 0.855 0.465 Fe
0.602 0.602 0.220 Fe
0.351 0.351 0.970 Fe
0.117 0.634 0.125 Fe
0.889 0.373 0.373 Fe
0.372 0.875 0.875 Fe
0.128 0.624 0.624 Fe
0.875 0.372 0.875 Fe
0.624 0.128 0.624 Fe
```

---

(11)
VASP calculation (PBE+U) on a relaxed structure of CaFe2O4.

Output
Calculated formation energy, eV/atom: -2.12
Energy above the lowest structure with this stoichiometry, meV per atom: 61
SG: P1 (1)

Geometry as POSCAR:
```
CaFe2O4
1.0
1.319 -5.665 -2.219
0.439 1.005 6.136
-5.982 2.000 -0.262
O Fe Ca
8 4 2
Direct
0.052 0.288 0.303 O
0.967 0.279 0.737 O
0.033 0.720 0.262 O
0.440 0.705 0.251 O
0.468 0.753 0.699 O
0.532 0.247 0.300 O
0.560 0.295 0.749 O
0.950 0.714 0.699 O
0.498 0.500 0.499 Fe
0.500 0.000 0.500 Fe
0.001 0.500 0.499 Fe
0.000 0.500 0.001 Fe
0.743 0.862 0.122 Ca
0.257 0.137 0.878 Ca
```

---

(12)
VASP calculation (PBE+U) on a relaxed structure of CaFe2O4.

Output
Calculated formation energy, eV/atom: -2.14
Energy above the lowest structure with this stoichiometry, meV per atom: 32
SG: Fd-3m (227)

Geometry as POSCAR:
```
CaFe2O4
1.0
-5.341 -3.332 -0.065
-2.626 -1.842 5.416
-5.377 2.633 1.947
O Fe Ca
8 4 2
Direct
0.392 0.392 0.392 O
0.392 0.392 0.823 O
0.858 0.858 0.427 O
0.858 0.427 0.858 O
0.858 0.858 0.858 O
0.427 0.858 0.858 O
0.392 0.823 0.392 O
0.823 0.392 0.392 O
0.625 0.625 0.125 Fe
0.625 0.125 0.625 Fe
0.625 0.625 0.625 Fe
0.125 0.625 0.625 Fe
0.000 0.000 0.000 Ca
0.250 0.250 0.250 Ca
```

---

Number 1: E_tot -349.65 eV per cell. Number 2: E_tot -301.24 eV per cell. Number 3: E_tot -71.90 eV per cell. Number 4: E_tot -74.33 eV per cell. Number 5: E_tot -100.37 eV per cell. Number 6: E_tot -378.57 eV per cell. Number 7: E_tot -91.36 eV per cell. Number 8: E_tot -163.18 eV per cell. Number 9: E_tot -120.09 eV per cell. Number 10: E_tot -367.98 eV per cell. Number 11: E_tot -92.58 eV per cell. Number 12: E_tot -92.98 eV per cell.